No. 1
The following is a DFT calculation (meta-GGA r2SCAN) of a relaxed Dy6MnBi2 crystal.

a = 8.2381 Å, b = 8.2381 Å, c = 4.4034 Å
α = 90.00°, β = 90.00°, γ = 120.00°
Space group P-62m (No. 189)
One atom of each set of equivalent atoms:
Dy1 0.0000 0.3995 0.0000 x3
Dy2 0.0000 0.7634 0.5000 x3
Mn1 0.0000 0.0000 0.0000 x1
Bi1 0.3333 0.6667 0.5000 x2

***

No. 2
The following is a DFT calculation (meta-GGA r2SCAN) of a relaxed DyNiBi crystal.

a = 6.4337 Å, b = 6.4337 Å, c = 6.4337 Å
α = 90.00°, β = 90.00°, γ = 90.00°
Space group F-43m (No. 216)
One atom of each set of equivalent atoms:
Dy1 0.0000 0.0000 0.0000 x4
Ni1 0.2500 0.2500 0.2500 x4
Bi1 0.0000 0.0000 0.5000 x4

***

Number 1: formation energy -0.566 eV/atom. Number 2: formation energy -0.755 eV/atom.